[1]
! NaSmF4 (r2SCAN, relaxed); values from VASP
&SYSTEM
  ibrav = 0, nat = 18, ntyp = 3
/
ATOMIC_SPECIES
Na 22.99 Na.upf
Sm 150.36 Sm.upf
F 19.00 F.upf
CELL_PARAMETERS angstrom
6.020 0.001 -0.001
2.998 6.336 -0.016
3.002 2.190 5.952
ATOMIC_POSITIONS crystal
Na 0.666 0.486 0.165
Na 0.663 0.006 0.678
Na 0.330 0.427 0.909
Sm 0.003 0.000 0.998
Sm 0.998 0.499 0.504
Sm 0.336 0.921 0.409
F 0.368 0.007 0.031
F 0.366 0.542 0.501
F 0.595 0.166 0.198
F 0.592 0.709 0.659
F 0.037 0.279 0.315
F 0.046 0.819 0.771
F 0.257 0.625 0.129
F 0.276 0.130 0.624
F 0.983 0.381 0.883
F 0.977 0.887 0.384
F 0.755 0.735 0.233
F 0.753 0.244 0.746
! Energy relative to the elements: -24.0 eV/f.u.
! SG: P1, No. 1
! Volume: 227 Å³/cell
! Spin magnetization: 0.0 Bohr magnetons per cell

---

[2]
! SiO2 (r2SCAN, relaxed); values from VASP
&SYSTEM
  ibrav = 0, nat = 60, ntyp = 2
/
ATOMIC_SPECIES
Si 28.09 Si.upf
O 16.00 O.upf
CELL_PARAMETERS angstrom
-5.236 -1.467 10.985
-2.304 11.729 2.714
-3.244 -8.593 -8.117
ATOMIC_POSITIONS crystal
Si 0.181 0.853 0.955
Si 0.819 0.774 0.672
Si 0.398 0.726 0.045
Si 0.602 0.647 0.328
Si 0.819 0.147 0.045
Si 0.181 0.226 0.328
Si 0.602 0.274 0.955
Si 0.398 0.353 0.672
Si 0.045 0.414 0.258
Si 0.955 0.213 0.369
Si 0.657 0.287 0.742
Si 0.343 0.086 0.631
Si 0.955 0.586 0.742
Si 0.045 0.787 0.631
Si 0.343 0.713 0.258
Si 0.657 0.914 0.369
Si 0.113 0.059 0.672
Si 0.887 0.559 0.945
Si 0.887 0.941 0.328
Si 0.113 0.441 0.055
O 0.076 0.745 0.912
O 0.924 0.836 0.669
O 0.333 0.664 0.088
O 0.667 0.755 0.331
O 0.924 0.255 0.088
O 0.076 0.164 0.331
O 0.667 0.336 0.912
O 0.333 0.245 0.669
O 0.310 0.810 0.000
O 0.690 0.690 0.500
O 0.690 0.190 0.000
O 0.310 0.310 0.500
O 0.146 0.797 0.773
O 0.854 0.627 0.651
O 0.524 0.873 0.227
O 0.476 0.703 0.349
O 0.854 0.203 0.227
O 0.146 0.373 0.349
O 0.476 0.127 0.773
O 0.524 0.297 0.651
O 0.191 0.060 0.131
O 0.809 0.940 0.869
O 0.428 0.560 0.869
O 0.572 0.440 0.131
O 0.101 0.439 0.178
O 0.899 0.078 0.339
O 0.761 0.422 0.822
O 0.239 0.061 0.661
O 0.899 0.561 0.822
O 0.101 0.922 0.661
O 0.239 0.578 0.178
O 0.761 0.939 0.339
O 0.007 0.590 0.417
O 0.993 0.410 0.583
O 0.674 0.090 0.583
O 0.326 0.910 0.417
O 0.000 0.000 0.500
O 0.000 0.500 0.000
O 0.117 0.250 0.867
O 0.883 0.750 0.133
! Energy relative to the elements: -9.1 eV/f.u.
! SG: Imma, No. 74
! Volume: 1052 Å³/cell
! Spin magnetization: 0.0 Bohr magnetons per cell

---

[3]
! SrTm2S4 (r2SCAN, relaxed); values from VASP
&SYSTEM
  ibrav = 0, nat = 28, ntyp = 3
/
ATOMIC_SPECIES
Sr 87.62 Sr.upf
Tm 168.93 Tm.upf
S 32.06 S.upf
CELL_PARAMETERS angstrom
3.931 0.000 0.000
0.000 11.960 0.000
0.000 0.000 14.162
ATOMIC_POSITIONS crystal
Sr 0.250 0.760 0.337
Sr 0.250 0.260 0.163
Sr 0.750 0.240 0.663
Sr 0.750 0.740 0.837
Tm 0.250 0.437 0.389
Tm 0.250 0.937 0.111
Tm 0.750 0.563 0.611
Tm 0.750 0.063 0.889
Tm 0.250 0.418 0.900
Tm 0.250 0.918 0.600
Tm 0.750 0.582 0.100
Tm 0.750 0.082 0.400
S 0.250 0.205 0.831
S 0.250 0.705 0.669
S 0.750 0.795 0.169
S 0.750 0.295 0.331
S 0.250 0.127 0.528
S 0.250 0.627 0.972
S 0.750 0.873 0.472
S 0.750 0.373 0.028
S 0.250 0.026 0.284
S 0.250 0.526 0.216
S 0.750 0.974 0.716
S 0.750 0.474 0.784
S 0.250 0.413 0.577
S 0.250 0.913 0.923
S 0.750 0.587 0.423
S 0.750 0.087 0.077
! Energy relative to the elements: -17.1 eV/f.u.
! SG: Pnma, No. 62
! Volume: 666 Å³/cell
! Spin magnetization: 0.0 Bohr magnetons per cell

---

[4]
! Mg3Ga (r2SCAN, relaxed); values from VASP
&SYSTEM
  ibrav = 0, nat = 4, ntyp = 2
/
ATOMIC_SPECIES
Mg 24.30 Mg.upf
Ga 69.72 Ga.upf
CELL_PARAMETERS angstrom
-2.168 2.168 4.283
2.168 -2.168 4.283
2.168 2.168 -4.283
ATOMIC_POSITIONS crystal
Mg 0.500 0.500 0.000
Mg 0.750 0.250 0.500
Mg 0.250 0.750 0.500
Ga 0.000 0.000 0.000
! Energy relative to the elements: -0.2 eV/f.u.
! SG: I4/mmm, No. 139
! Volume: 80 Å³/cell
! Spin magnetization: 0.0 Bohr magnetons per cell

---

[5]
! YbGa4Ni (r2SCAN, relaxed); values from VASP
&SYSTEM
  ibrav = 0, nat = 12, ntyp = 3
/
ATOMIC_SPECIES
Yb 173.04 Yb.upf
Ga 69.72 Ga.upf
Ni 58.69 Ni.upf
CELL_PARAMETERS angstrom
2.017 -7.468 0.000
2.017 7.468 0.000
0.000 0.000 6.516
ATOMIC_POSITIONS crystal
Yb 0.622 0.378 0.750
Yb 0.378 0.622 0.250
Ga 0.185 0.815 0.449
Ga 0.815 0.185 0.551
Ga 0.000 0.000 0.000
Ga 0.000 0.000 0.500
Ga 0.569 0.431 0.250
Ga 0.431 0.569 0.750
Ga 0.185 0.815 0.051
Ga 0.815 0.185 0.949
Ni 0.724 0.276 0.250
Ni 0.276 0.724 0.750
! Energy relative to the elements: -3.3 eV/f.u.
! SG: Cmcm, No. 63
! Volume: 196 Å³/cell
! Spin magnetization: 0.0 Bohr magnetons per cell

---

[6]
! Ac2ZnGe (r2SCAN, relaxed); values from VASP
&SYSTEM
  ibrav = 0, nat = 4, ntyp = 3
/
ATOMIC_SPECIES
Ac 227.00 Ac.upf
Zn 65.41 Zn.upf
Ge 72.64 Ge.upf
CELL_PARAMETERS angstrom
5.445 0.777 -0.214
2.287 4.213 2.706
3.092 -0.944 4.455
ATOMIC_POSITIONS crystal
Ac 0.500 0.500 0.500
Ac 0.000 0.000 0.000
Zn 0.750 0.750 0.750
Ge 0.250 0.250 0.250
! Energy relative to the elements: -1.8 eV/f.u.
! SG: Fm-3m, No. 225
! Volume: 118 Å³/cell
! Spin magnetization: 0.0 Bohr magnetons per cell

---

[7]
! Pr6RuBr10 (r2SCAN, relaxed); values from VASP
&SYSTEM
  ibrav = 0, nat = 17, ntyp = 3
/
ATOMIC_SPECIES
Pr 140.91 Pr.upf
Ru 101.07 Ru.upf
Br 79.90 Br.upf
CELL_PARAMETERS angstrom
7.655 0.026 -0.939
-3.188 8.349 -3.116
0.007 0.008 9.566
ATOMIC_POSITIONS crystal
Pr 0.130 0.050 0.755
Pr 0.623 0.849 0.805
Pr 0.870 0.950 0.245
Pr 0.027 0.704 0.905
Pr 0.377 0.151 0.195
Pr 0.973 0.296 0.095
Ru 0.000 0.000 0.000
Br 0.195 0.737 0.642
Br 0.639 0.530 0.717
Br 0.254 0.080 0.456
Br 0.805 0.263 0.358
Br 0.552 0.176 0.920
Br 0.746 0.920 0.544
Br 0.903 0.626 0.168
Br 0.361 0.470 0.283
Br 0.097 0.374 0.832
Br 0.448 0.824 0.080
! Energy relative to the elements: -31.2 eV/f.u.
! SG: P-1, No. 2
! Volume: 612 Å³/cell
! Spin magnetization: 0.0 Bohr magnetons per cell

---

[8]
! BaIn2Te4 (r2SCAN, relaxed); values from VASP
&SYSTEM
  ibrav = 0, nat = 14, ntyp = 3
/
ATOMIC_SPECIES
Ba 137.33 Ba.upf
In 114.82 In.upf
Te 127.60 Te.upf
CELL_PARAMETERS angstrom
7.125 0.049 0.000
-3.495 6.209 0.000
0.000 0.000 12.376
ATOMIC_POSITIONS crystal
Ba 0.500 0.500 0.250
Ba 0.500 0.500 0.750
In 0.240 0.763 0.500
In 0.760 0.237 0.500
In 0.237 0.760 0.000
In 0.763 0.240 0.000
Te 0.500 0.000 0.324
Te 0.000 0.500 0.176
Te 0.658 0.807 0.000
Te 0.342 0.193 0.000
Te 0.807 0.658 0.500
Te 0.193 0.342 0.500
Te 0.500 0.000 0.676
Te 0.000 0.500 0.824
! Energy relative to the elements: -6.8 eV/f.u.
! SG: Cccm, No. 66
! Volume: 550 Å³/cell
! Spin magnetization: 0.0 Bohr magnetons per cell

---

[9]
! Cs2CuF6 (r2SCAN, relaxed); values from VASP
&SYSTEM
  ibrav = 0, nat = 9, ntyp = 3
/
ATOMIC_SPECIES
Cs 132.91 Cs.upf
Cu 63.55 Cu.upf
F 19.00 F.upf
CELL_PARAMETERS angstrom
0.000 4.420 4.420
4.420 0.000 4.420
4.420 4.420 0.000
ATOMIC_POSITIONS crystal
Cs 0.250 0.250 0.250
Cs 0.750 0.750 0.750
Cu 0.000 0.000 0.000
F 0.207 0.793 0.793
F 0.207 0.207 0.793
F 0.793 0.793 0.207
F 0.207 0.793 0.207
F 0.793 0.207 0.793
F 0.793 0.207 0.207
! Energy relative to the elements: -19.6 eV/f.u.
! SG: Fm-3m, No. 225
! Volume: 173 Å³/cell
! Spin magnetization: 1.0 Bohr magnetons per cell

---

[10]
! SrCr2O7 (r2SCAN, relaxed); values from VASP
&SYSTEM
  ibrav = 0, nat = 80, ntyp = 3
/
ATOMIC_SPECIES
Sr 87.62 Sr.upf
Cr 52.00 Cr.upf
O 16.00 O.upf
CELL_PARAMETERS angstrom
11.140 0.000 0.000
0.000 11.140 0.000
0.000 0.000 9.615
ATOMIC_POSITIONS crystal
Sr 0.801 0.801 0.000
Sr 0.301 0.699 0.500
Sr 0.199 0.199 0.000
Sr 0.801 0.199 0.000
Sr 0.301 0.301 0.500
Sr 0.699 0.699 0.500
Sr 0.699 0.301 0.500
Sr 0.199 0.801 0.000
Cr 0.150 0.000 0.304
Cr 0.000 0.150 0.696
Cr 0.500 0.862 0.235
Cr 0.138 0.500 0.765
Cr 0.862 0.500 0.765
Cr 0.500 0.350 0.804
Cr 0.362 0.000 0.735
Cr 0.850 0.000 0.304
Cr 0.500 0.138 0.235
Cr 0.000 0.850 0.696
Cr 0.638 0.000 0.735
Cr 0.000 0.362 0.265
Cr 0.500 0.650 0.804
Cr 0.000 0.638 0.265
Cr 0.350 0.500 0.196
Cr 0.650 0.500 0.196
O 0.500 0.000 0.322
O 0.500 0.349 0.634
O 0.617 0.856 0.138
O 0.619 0.285 0.862
O 0.255 0.000 0.853
O 0.755 0.500 0.647
O 0.381 0.285 0.862
O 0.883 0.644 0.362
O 0.785 0.119 0.362
O 0.117 0.644 0.362
O 0.000 0.500 0.178
O 0.617 0.144 0.138
O 0.644 0.883 0.638
O 0.715 0.619 0.138
O 0.619 0.715 0.862
O 0.144 0.617 0.862
O 0.117 0.356 0.362
O 0.000 0.151 0.866
O 0.881 0.215 0.638
O 0.215 0.119 0.362
O 0.356 0.117 0.638
O 0.651 0.500 0.366
O 0.381 0.715 0.862
O 0.500 0.500 0.858
O 0.119 0.785 0.638
O 0.849 0.000 0.134
O 0.500 0.500 0.142
O 0.000 0.745 0.147
O 0.349 0.500 0.366
O 0.785 0.881 0.362
O 0.856 0.383 0.862
O 0.644 0.117 0.638
O 0.881 0.785 0.638
O 0.856 0.617 0.862
O 0.383 0.856 0.138
O 0.000 0.500 0.678
O 0.500 0.245 0.353
O 0.000 0.255 0.147
O 0.000 0.000 0.642
O 0.883 0.356 0.362
O 0.356 0.883 0.638
O 0.144 0.383 0.862
O 0.715 0.381 0.138
O 0.119 0.215 0.638
O 0.500 0.651 0.634
O 0.000 0.000 0.358
O 0.000 0.849 0.866
O 0.745 0.000 0.853
O 0.215 0.881 0.362
O 0.500 0.000 0.822
O 0.383 0.144 0.138
O 0.285 0.381 0.138
O 0.151 0.000 0.134
O 0.245 0.500 0.647
O 0.285 0.619 0.138
O 0.500 0.755 0.353
! Energy relative to the elements: -21.8 eV/f.u.
! SG: P4_2/nmc, No. 137
! Volume: 1193 Å³/cell
! Spin magnetization: 0.0 Bohr magnetons per cell

---

[11]
! SrMnO3 (r2SCAN, relaxed); values from VASP
&SYSTEM
  ibrav = 0, nat = 20, ntyp = 3
/
ATOMIC_SPECIES
Sr 87.62 Sr.upf
Mn 54.94 Mn.upf
O 16.00 O.upf
CELL_PARAMETERS angstrom
2.726 -4.722 0.000
2.726 4.722 0.000
0.000 0.000 9.093
ATOMIC_POSITIONS crystal
Sr 0.333 0.667 0.249
Sr 0.667 0.333 0.749
Sr 0.000 0.000 0.498
Sr 0.000 0.000 0.998
Mn 0.333 0.667 0.886
Mn 0.667 0.333 0.112
Mn 0.667 0.333 0.386
Mn 0.333 0.667 0.612
O 0.500 0.500 0.499
O 0.500 0.000 0.499
O 0.000 0.500 0.499
O 0.500 0.500 0.999
O 0.500 0.000 0.999
O 0.000 0.500 0.999
O 0.181 0.362 0.749
O 0.638 0.819 0.749
O 0.181 0.819 0.749
O 0.819 0.638 0.249
O 0.362 0.181 0.249
O 0.819 0.181 0.249
! Energy relative to the elements: -13.2 eV/f.u.
! SG: P6_3mc, No. 186
! Volume: 234 Å³/cell
! Spin magnetization: 12.0 Bohr magnetons per cell

---

[12]
! BaPt2S3 (r2SCAN, relaxed); values from VASP
&SYSTEM
  ibrav = 0, nat = 24, ntyp = 3
/
ATOMIC_SPECIES
Ba 137.33 Ba.upf
Pt 195.08 Pt.upf
S 32.06 S.upf
CELL_PARAMETERS angstrom
6.824 0.000 0.000
0.000 6.824 0.000
0.000 0.000 12.408
ATOMIC_POSITIONS crystal
Ba 0.677 0.677 0.000
Ba 0.177 0.823 0.750
Ba 0.823 0.177 0.250
Ba 0.323 0.323 0.500
Pt 0.750 0.007 0.625
Pt 0.993 0.250 0.875
Pt 0.007 0.750 0.375
Pt 0.250 0.493 0.125
Pt 0.750 0.507 0.625
Pt 0.493 0.250 0.875
Pt 0.507 0.750 0.375
Pt 0.250 0.993 0.125
S 0.256 0.836 0.495
S 0.744 0.164 0.995
S 0.836 0.256 0.505
S 0.336 0.244 0.245
S 0.664 0.756 0.745
S 0.244 0.336 0.755
S 0.756 0.664 0.255
S 0.244 0.244 0.000
S 0.756 0.756 0.500
S 0.744 0.256 0.750
S 0.256 0.744 0.250
S 0.164 0.744 0.005
! Energy relative to the elements: -6.8 eV/f.u.
! SG: P4_12_12, No. 92
! Volume: 578 Å³/cell
! Spin magnetization: 0.0 Bohr magnetons per cell

---

[13]
! DyCo2Si2 (r2SCAN, relaxed); values from VASP
&SYSTEM
  ibrav = 0, nat = 5, ntyp = 3
/
ATOMIC_SPECIES
Dy 162.50 Dy.upf
Co 58.93 Co.upf
Si 28.09 Si.upf
CELL_PARAMETERS angstrom
3.605 0.000 -1.350
-0.505 3.570 -1.350
0.026 0.029 5.558
ATOMIC_POSITIONS crystal
Dy 0.000 0.000 0.000
Co 0.250 0.750 0.500
Co 0.750 0.250 0.500
Si 0.629 0.629 0.258
Si 0.371 0.371 0.742
! Energy relative to the elements: -3.9 eV/f.u.
! SG: I4/mmm, No. 139
! Volume: 72 Å³/cell
! Spin magnetization: 0.0 Bohr magnetons per cell

---

[14]
! Cs2MnS2 (r2SCAN, relaxed); values from VASP
&SYSTEM
  ibrav = 0, nat = 10, ntyp = 3
/
ATOMIC_SPECIES
Cs 132.91 Cs.upf
Mn 54.94 Mn.upf
S 32.06 S.upf
CELL_PARAMETERS angstrom
-2.327 -2.555 -5.521
5.137 3.628 -3.846
2.924 -5.956 5.354
ATOMIC_POSITIONS crystal
Cs 0.149 0.489 0.299
Cs 0.851 0.511 0.701
Cs 0.351 0.190 0.701
Cs 0.649 0.810 0.299
Mn 0.250 0.000 0.000
Mn 0.750 0.000 0.000
S 0.906 0.081 0.811
S 0.094 0.919 0.189
S 0.594 0.269 0.189
S 0.406 0.731 0.811
! Energy relative to the elements: -6.6 eV/f.u.
! SG: C2/c, No. 15
! Volume: 335 Å³/cell
! Spin magnetization: 10.0 Bohr magnetons per cell

---

[15]
! La2In (r2SCAN, relaxed); values from VASP
&SYSTEM
  ibrav = 0, nat = 6, ntyp = 2
/
ATOMIC_SPECIES
La 138.91 La.upf
In 114.82 In.upf
CELL_PARAMETERS angstrom
-5.375 -0.768 -1.578
3.978 -3.670 -1.634
-1.172 -3.894 5.890
ATOMIC_POSITIONS crystal
La 0.000 0.000 0.500
La 0.000 0.000 0.000
La 0.333 0.667 0.750
La 0.667 0.333 0.250
In 0.667 0.333 0.750
In 0.333 0.667 0.250
! Energy relative to the elements: -1.5 eV/f.u.
! SG: P6_3/mmc, No. 194
! Volume: 198 Å³/cell
! Spin magnetization: 1.8 Bohr magnetons per cell